1.
## ZrFe4Si (GGA-PBE)

Data for ZrFe4Si after structural relaxation.

Properties
energy relative to the elements = -0.173 eV per atom
ρ = 7.55 Mg/m³
crystal system = cubic

a = 4.742 Å, b = 4.742 Å, c = 4.742 Å
α = 60.00°, β = 60.00°, γ = 60.00°
Fractional positions:
Zr 0.000 0.000 0.000
Fe 0.130 0.623 0.623
Fe 0.623 0.130 0.623
Fe 0.623 0.623 0.130
Fe 0.623 0.623 0.623
Si 0.250 0.250 0.250

2.
## ZrFe2Si2 (GGA-PBE)

Data for ZrFe2Si2 after structural relaxation.

Properties
energy relative to the elements = -0.626 eV per atom
ρ = 6.21 Mg/m³
crystal system = tetragonal

a = 5.404 Å, b = 5.404 Å, c = 5.404 Å
α = 138.26°, β = 138.26°, γ = 60.51°
Fractional positions:
Zr 0.000 0.000 0.000
Fe 0.250 0.750 0.500
Fe 0.750 0.250 0.500
Si 0.372 0.372 0.000
Si 0.628 0.628 0.000

3.
## Zr4Fe4Si7 (GGA-PBE)

Data for Zr4Fe4Si7 after structural relaxation.

Properties
energy relative to the elements = -0.713 eV per atom
ρ = 6.04 Mg/m³
crystal system = tetragonal

a = 9.587 Å, b = 9.587 Å, c = 9.587 Å
α = 93.97°, β = 93.97°, γ = 149.49°
Fractional positions:
Zr 0.000 0.196 0.196
Zr 0.000 0.804 0.804
Zr 0.196 0.000 0.196
Zr 0.362 0.362 0.724
Zr 0.362 0.638 0.000
Zr 0.638 0.362 0.000
Zr 0.638 0.638 0.276
Zr 0.804 0.000 0.804
Fe 0.102 0.602 0.204
Fe 0.102 0.898 0.500
Fe 0.398 0.602 0.500
Fe 0.398 0.898 0.796
Fe 0.602 0.102 0.204
Fe 0.602 0.398 0.500
Fe 0.898 0.102 0.500
Fe 0.898 0.398 0.796
Si 0.000 0.409 0.409
Si 0.000 0.591 0.591
Si 0.200 0.500 0.700
Si 0.210 0.210 0.421
Si 0.210 0.790 0.000
Si 0.250 0.250 0.000
Si 0.409 0.000 0.409
Si 0.500 0.200 0.700
Si 0.500 0.800 0.300
Si 0.591 0.000 0.591
Si 0.750 0.750 0.000
Si 0.790 0.210 0.000
Si 0.790 0.790 0.579
Si 0.800 0.500 0.300